(1)
The following is a DFT calculation (PBE with a Hubbard U) of a relaxed Li2CrCuP2O8 crystal.

Lattice parameters (Å, degrees): 4.7666 6.1285 10.1870 90.00 90.02 90.00
Positions (direct):
Li (0.0000, 0.0000, 0.0000)
Li (0.0000, 0.5000, 0.0000)
Li (0.5000, 0.0000, 0.5000)
Li (0.5000, 0.5000, 0.5000)
Cr (0.0187, 0.2500, 0.7199)
Cr (0.9813, 0.7500, 0.2801)
Cu (0.4581, 0.2500, 0.2165)
Cu (0.5419, 0.7500, 0.7835)
P (0.0774, 0.7500, 0.5921)
P (0.4145, 0.7500, 0.0962)
P (0.5855, 0.2500, 0.9038)
P (0.9226, 0.2500, 0.4079)
O (0.2055, 0.7500, 0.4493)
O (0.2075, 0.5441, 0.6597)
O (0.2075, 0.9559, 0.6597)
O (0.2436, 0.2500, 0.4076)
O (0.2614, 0.2500, 0.8957)
O (0.2730, 0.5518, 0.1686)
O (0.2730, 0.9482, 0.1686)
O (0.3039, 0.7500, 0.9539)
O (0.6961, 0.2500, 0.0461)
O (0.7270, 0.0518, 0.8314)
O (0.7270, 0.4482, 0.8314)
O (0.7386, 0.7500, 0.1043)
O (0.7564, 0.7500, 0.5924)
O (0.7925, 0.0441, 0.3403)
O (0.7925, 0.4559, 0.3403)
O (0.7945, 0.2500, 0.5507)

The formation energy is -2.397 eV per atom. The space group is P2_1/m, No. 11.



(2)
The following is a DFT calculation (PBE with a Hubbard U) of a relaxed Bi13Mo6As3O42 crystal.

Lattice parameters (Å, degrees): 12.9767 5.6766 28.9722 90.00 105.15 90.00
Positions (direct):
Bi (0.0000, 0.2312, 0.0000)
Bi (0.0000, 0.7688, 0.5000)
Bi (0.0454, 0.2677, 0.8509)
Bi (0.0454, 0.7323, 0.3509)
Bi (0.0782, 0.2046, 0.7262)
Bi (0.0782, 0.7954, 0.2262)
Bi (0.1491, 0.1952, 0.5872)
Bi (0.1491, 0.8048, 0.0872)
Bi (0.2111, 0.2447, 0.3128)
Bi (0.2111, 0.7553, 0.8128)
Bi (0.3209, 0.2403, 0.0483)
Bi (0.3209, 0.7597, 0.5483)
Bi (0.4954, 0.2654, 0.4976)
Bi (0.4954, 0.7346, 0.9976)
Bi (0.5480, 0.2368, 0.3520)
Bi (0.5480, 0.7632, 0.8520)
Bi (0.7252, 0.2633, 0.8036)
Bi (0.7252, 0.7367, 0.3036)
Bi (0.7966, 0.2380, 0.6680)
Bi (0.7966, 0.7620, 0.1680)
Bi (0.8375, 0.2596, 0.5370)
Bi (0.8375, 0.7404, 0.0370)
Bi (0.9013, 0.2963, 0.2648)
Bi (0.9013, 0.7037, 0.7648)
Bi (0.9597, 0.2975, 0.1245)
Bi (0.9597, 0.7025, 0.6245)
Mo (0.1910, 0.2439, 0.4521)
Mo (0.1910, 0.7561, 0.9521)
Mo (0.3722, 0.2596, 0.9058)
Mo (0.3722, 0.7404, 0.4058)
Mo (0.4023, 0.2539, 0.7730)
Mo (0.4023, 0.7461, 0.2730)
Mo (0.6431, 0.2480, 0.0776)
Mo (0.6431, 0.7520, 0.5776)
Mo (0.6739, 0.2400, 0.9451)
Mo (0.6739, 0.7600, 0.4451)
Mo (0.8554, 0.2567, 0.3987)
Mo (0.8554, 0.7433, 0.8987)
As (0.2191, 0.2455, 0.1830)
As (0.2191, 0.7545, 0.6830)
As (0.4272, 0.3133, 0.6161)
As (0.4272, 0.6867, 0.1161)
As (0.6180, 0.1886, 0.2347)
As (0.6180, 0.8114, 0.7347)
O (0.0743, 0.4842, 0.2960)
O (0.0743, 0.5158, 0.7960)
O (0.0768, 0.0203, 0.7968)
O (0.0768, 0.9797, 0.2968)
O (0.0926, 0.0188, 0.4433)
O (0.0926, 0.9812, 0.9433)
O (0.1182, 0.4667, 0.1579)
O (0.1182, 0.5333, 0.6579)
O (0.1383, 0.9997, 0.1507)
O (0.1383, 0.0003, 0.6507)
O (0.1564, 0.1405, 0.0490)
O (0.1564, 0.8595, 0.5490)
O (0.1664, 0.4446, 0.4966)
O (0.1664, 0.5554, 0.9966)
O (0.1691, 0.1516, 0.2345)
O (0.1691, 0.8484, 0.7345)
O (0.1799, 0.3848, 0.3949)
O (0.1799, 0.6152, 0.8949)
O (0.2443, 0.1236, 0.8819)
O (0.2443, 0.8764, 0.3819)
O (0.2790, 0.4180, 0.7638)
O (0.2790, 0.5820, 0.2638)
O (0.3202, 0.1045, 0.4788)
O (0.3202, 0.8955, 0.9788)
O (0.3269, 0.4615, 0.1123)
O (0.3269, 0.5385, 0.6123)
O (0.3285, 0.0796, 0.5966)
O (0.3285, 0.9204, 0.0966)
O (0.3800, 0.4175, 0.9621)
O (0.3800, 0.5825, 0.4621)
O (0.3887, 0.4638, 0.8609)
O (0.3887, 0.5362, 0.3609)
O (0.3963, 0.0102, 0.3095)
O (0.3963, 0.9898, 0.8095)
O (0.4042, 0.1572, 0.7161)
O (0.4042, 0.8428, 0.2161)
O (0.4468, 0.4125, 0.5586)
O (0.4468, 0.5875, 0.0586)
O (0.4674, 0.0213, 0.9151)
O (0.4674, 0.9787, 0.4151)
O (0.5226, 0.4376, 0.7960)
O (0.5226, 0.5624, 0.2960)
O (0.5242, 0.0643, 0.0555)
O (0.5242, 0.9357, 0.5555)
O (0.5789, 0.4788, 0.9361)
O (0.5789, 0.5212, 0.4361)
O (0.6021, 0.0865, 0.2922)
O (0.6021, 0.9135, 0.7922)
O (0.6444, 0.3471, 0.1352)
O (0.6444, 0.6529, 0.6352)
O (0.6505, 0.4903, 0.5416)
O (0.6505, 0.5097, 0.0416)
O (0.6572, 0.0391, 0.9904)
O (0.6572, 0.9609, 0.4904)
O (0.6665, 0.0832, 0.8888)
O (0.6665, 0.9168, 0.3888)
O (0.7171, 0.4220, 0.2534)
O (0.7171, 0.5780, 0.7534)
O (0.7187, 0.0413, 0.7375)
O (0.7187, 0.9587, 0.2375)
O (0.7263, 0.3967, 0.3719)
O (0.7263, 0.6033, 0.8719)
O (0.7659, 0.0760, 0.0887)
O (0.7659, 0.9240, 0.5887)
O (0.8022, 0.3757, 0.9692)
O (0.8022, 0.6243, 0.4692)
O (0.8667, 0.1142, 0.4556)
O (0.8667, 0.8858, 0.9556)
O (0.8731, 0.3557, 0.6133)
O (0.8731, 0.6443, 0.1133)
O (0.8800, 0.0532, 0.3547)
O (0.8800, 0.9468, 0.8547)
O (0.8897, 0.3570, 0.8017)
O (0.8897, 0.6430, 0.3017)
O (0.9076, 0.4912, 0.2018)
O (0.9076, 0.5088, 0.7018)
O (0.9291, 0.0073, 0.6962)
O (0.9291, 0.9927, 0.1962)
O (0.9544, 0.4813, 0.4075)
O (0.9544, 0.5187, 0.9075)
O (0.9722, 0.0157, 0.5551)
O (0.9721, 0.4788, 0.0538)
O (0.9721, 0.5212, 0.5538)
O (0.9722, 0.9843, 0.0551)

The formation energy is -1.831 eV per atom. The space group is Pc, No. 7.



(3)
The following is a DFT calculation (PBE with a Hubbard U) of a relaxed VSe2O6 crystal.

Lattice parameters (Å, degrees): 11.5351 11.5351 7.9254 90.00 90.00 90.00
Positions (direct):
V (0.0000, 0.0000, 0.0000)
V (0.0000, 0.0000, 0.5000)
V (0.0000, 0.5000, 0.1665)
V (0.0000, 0.5000, 0.6665)
V (0.5000, 0.0000, 0.1665)
V (0.5000, 0.0000, 0.6665)
V (0.5000, 0.5000, 0.2310)
V (0.5000, 0.5000, 0.7310)
Se (0.1311, 0.2184, 0.1743)
Se (0.1311, 0.7816, 0.6743)
Se (0.2184, 0.1311, 0.6743)
Se (0.2184, 0.8689, 0.1743)
Se (0.2589, 0.3967, 0.5655)
Se (0.2589, 0.6033, 0.0655)
Se (0.3967, 0.2589, 0.0655)
Se (0.3967, 0.7411, 0.5655)
Se (0.6033, 0.2589, 0.5655)
Se (0.6033, 0.7411, 0.0655)
Se (0.7411, 0.3967, 0.0655)
Se (0.7411, 0.6033, 0.5655)
Se (0.7816, 0.1311, 0.1743)
Se (0.7816, 0.8689, 0.6743)
Se (0.8689, 0.2184, 0.6743)
Se (0.8689, 0.7816, 0.1743)
O (0.0000, 0.0000, 0.2867)
O (0.0000, 0.0000, 0.7867)
O (0.0000, 0.5000, 0.4571)
O (0.0000, 0.5000, 0.9571)
O (0.0249, 0.1712, 0.0375)
O (0.0249, 0.8288, 0.5375)
O (0.0927, 0.3551, 0.2184)
O (0.0927, 0.6449, 0.7184)
O (0.1501, 0.4108, 0.7090)
O (0.1501, 0.5892, 0.2090)
O (0.1712, 0.0249, 0.5375)
O (0.1712, 0.9751, 0.0375)
O (0.2441, 0.2439, 0.0072)
O (0.2439, 0.2441, 0.5072)
O (0.2439, 0.7559, 0.0072)
O (0.2441, 0.7561, 0.5072)
O (0.3551, 0.0927, 0.7184)
O (0.3551, 0.9073, 0.2184)
O (0.3781, 0.3779, 0.1942)
O (0.3779, 0.3781, 0.6942)
O (0.3779, 0.6219, 0.1942)
O (0.3781, 0.6221, 0.6942)
O (0.4108, 0.1501, 0.2090)
O (0.4108, 0.8499, 0.7090)
O (0.5000, 0.0000, 0.4571)
O (0.5000, 0.0000, 0.9571)
O (0.5000, 0.5000, 0.4437)
O (0.5000, 0.5000, 0.9437)
O (0.5892, 0.1501, 0.7090)
O (0.5892, 0.8499, 0.2090)
O (0.6221, 0.3781, 0.1942)
O (0.6219, 0.3779, 0.6942)
O (0.6219, 0.6221, 0.1942)
O (0.6221, 0.6219, 0.6942)
O (0.6449, 0.0927, 0.2184)
O (0.6449, 0.9073, 0.7184)
O (0.7561, 0.2441, 0.0072)
O (0.7559, 0.2439, 0.5072)
O (0.7559, 0.7561, 0.0072)
O (0.7561, 0.7559, 0.5072)
O (0.8288, 0.0249, 0.0375)
O (0.8288, 0.9751, 0.5375)
O (0.8499, 0.4108, 0.2090)
O (0.8499, 0.5892, 0.7090)
O (0.9073, 0.3551, 0.7184)
O (0.9073, 0.6449, 0.2184)
O (0.9751, 0.1712, 0.5375)
O (0.9751, 0.8288, 0.0375)

The formation energy is -1.617 eV per atom. The space group is P4cc, No. 103.



(4)
The following is a DFT calculation (PBE with a Hubbard U) of a relaxed MgScTlMo2O8 crystal.

Lattice parameters (Å, degrees): 5.8375 5.8375 7.1463 90.00 90.00 120.00
Positions (direct):
Mg (0.0000, 0.0000, 0.0000)
Sc (0.6667, 0.3333, 0.8343)
Tl (0.6667, 0.3333, 0.3018)
Mo (0.0000, 0.0000, 0.5354)
Mo (0.3333, 0.6667, 0.1310)
O (0.0000, 0.0000, 0.2743)
O (0.3182, 0.1591, 0.6425)
O (0.3333, 0.6667, 0.3820)
O (0.5042, 0.0085, 0.9937)
O (0.5042, 0.4958, 0.9937)
O (0.8409, 0.1591, 0.6425)
O (0.8409, 0.6818, 0.6425)
O (0.9915, 0.4958, 0.9937)

The energy above the most stable polymorph in this dataset is 22 meV per atom. The formation energy is -2.098 eV per atom. The space group is P3m1, No. 156.



The energy results, record by record, are as follows: -188.1 -813.1 -436.0 -86.9 eV/cell.